! Ta2Al3V4C3 | the Materials Project | PBE | optimized geometry; values from VASP
&SYSTEM
  ibrav = 0, nat = 24, ntyp = 4
/
ATOMIC_SPECIES
Ta 180.95 Ta.upf
Al 26.98 Al.upf
V 50.94 V.upf
C 12.01 C.upf
CELL_PARAMETERS angstrom
1.497 -2.593 0.000
1.497 2.593 0.000
0.000 0.000 40.195
ATOMIC_POSITIONS crystal
Ta 0.667 0.333 0.199
Ta 0.667 0.333 0.529
Ta 0.667 0.333 0.862
Ta 0.333 0.667 0.135
Al 0.667 0.333 0.078
Al 0.667 0.333 0.416
Al 0.667 0.333 0.749
Al 0.333 0.667 0.255
Al 0.333 0.667 0.587
Al 0.333 0.667 0.920
V 0.333 0.667 0.470
V 0.333 0.667 0.803
V 0.333 0.667 0.026
V 0.333 0.667 0.362
V 0.333 0.667 0.695
V 0.667 0.333 0.307
V 0.667 0.333 0.640
V 0.667 0.333 0.973
C 0.000 0.000 0.167
C 0.000 0.000 0.496
C 0.000 0.000 0.830
C 0.000 0.000 0.000
C 0.000 0.000 0.335
C 0.000 0.000 0.667
! Space group: P3m1, No. 156
! Energy, Ha/atom: -0.3212

***

! ThAl4C4 | the Materials Project | PBE | optimized geometry; values from VASP
&SYSTEM
  ibrav = 0, nat = 9, ntyp = 3
/
ATOMIC_SPECIES
Th 232.04 Th.upf
Al 26.98 Al.upf
C 12.01 C.upf
CELL_PARAMETERS angstrom
-4.124 4.124 1.671
4.124 -4.124 1.671
4.124 4.124 -1.671
ATOMIC_POSITIONS crystal
Th 0.000 0.000 0.000
Al 0.641 0.821 0.462
Al 0.359 0.179 0.538
Al 0.821 0.359 0.179
Al 0.179 0.641 0.821
C 0.248 0.411 0.659
C 0.752 0.589 0.341
C 0.411 0.752 0.163
C 0.589 0.248 0.837
! Space group: I4/m, No. 87
! Energy, Ha/atom: -0.2495

***

! Ti2AlC | the Materials Project | PBE | optimized geometry; values from VASP
&SYSTEM
  ibrav = 0, nat = 8, ntyp = 3
/
ATOMIC_SPECIES
Ti 47.87 Ti.upf
Al 26.98 Al.upf
C 12.01 C.upf
CELL_PARAMETERS angstrom
1.535 -2.658 0.000
1.535 2.658 0.000
0.000 0.000 13.736
ATOMIC_POSITIONS crystal
Ti 0.333 0.667 0.083
Ti 0.667 0.333 0.583
Ti 0.667 0.333 0.917
Ti 0.333 0.667 0.417
Al 0.333 0.667 0.750
Al 0.667 0.333 0.250
C 0.000 0.000 0.000
C 0.000 0.000 0.500
! Space group: P6_3/mmc, No. 194
! Energy, Ha/atom: -0.2900